1.
A plane-wave DFT calculation with GGA-PBE was carried out for crystalline Ca6Cu2Sn7 at its relaxed geometry.

Lattice parameters (Å, degrees): 7.536 7.536 12.425 93.76 93.76 35.36
Positions (direct):
Ca (0.038, 0.038, 0.201)
Ca (0.137, 0.137, 0.503)
Ca (0.305, 0.305, 0.207)
Ca (0.695, 0.695, 0.793)
Ca (0.863, 0.863, 0.497)
Ca (0.962, 0.962, 0.799)
Cu (0.330, 0.330, 0.889)
Cu (0.670, 0.670, 0.111)
Sn (0.160, 0.160, 0.981)
Sn (0.317, 0.317, 0.676)
Sn (0.489, 0.489, 0.381)
Sn (0.500, 0.500, 0.000)
Sn (0.511, 0.511, 0.619)
Sn (0.683, 0.683, 0.324)
Sn (0.840, 0.840, 0.019)

Calculated values
The calculation puts the energy relative to the elements at -0.547 eV per atom.

=====

2.
A plane-wave DFT calculation with GGA-PBE was carried out for crystalline CdH6C2O7 at its relaxed geometry.

Lattice parameters (Å, degrees): 6.159 6.758 8.633 72.67 73.15 78.90
Positions (direct):
Cd (0.000, 0.000, 0.000)
Cd (0.104, 0.619, 0.420)
H (0.000, 0.389, 0.084)
H (0.109, 0.223, 0.352)
H (0.271, 0.324, 0.781)
H (0.342, 0.221, 0.398)
H (0.428, 0.147, 0.892)
H (0.448, 0.093, 0.628)
H (0.466, 0.555, 0.959)
H (0.666, 0.537, 0.804)
H (0.667, 0.484, 0.527)
H (0.669, 0.036, 0.493)
H (0.758, 0.322, 0.159)
H (0.820, 0.308, 0.639)
C (0.100, 0.702, 0.765)
C (0.485, 0.890, 0.147)
C (0.622, 0.733, 0.268)
C (0.992, 0.912, 0.664)
O (0.113, 0.687, 0.911)
O (0.168, 0.556, 0.691)
O (0.226, 0.312, 0.337)
O (0.280, 0.857, 0.168)
O (0.318, 0.170, 0.822)
O (0.502, 0.067, 0.515)
O (0.521, 0.587, 0.377)
O (0.585, 0.037, 0.039)
O (0.631, 0.560, 0.917)
O (0.774, 0.460, 0.601)
O (0.828, 0.762, 0.247)
O (0.919, 0.267, 0.149)
O (0.934, 0.063, 0.732)
O (0.969, 0.922, 0.520)

Calculated values
The value obtained for the spin magnetization is 0.001 Bohr magnetons per cell. The calculation puts the energy relative to the elements at -1.385 eV per atom.

=====

3.
A plane-wave DFT calculation with GGA-PBE was carried out for crystalline W2CCl8 at its relaxed geometry.

Lattice parameters (Å, degrees): 12.270 13.408 17.022 90.00 90.00 90.00
Positions (direct):
W (0.077, 0.208, 0.140)
W (0.077, 0.292, 0.640)
W (0.128, 0.711, 0.321)
W (0.128, 0.789, 0.821)
W (0.372, 0.211, 0.321)
W (0.372, 0.289, 0.821)
W (0.423, 0.708, 0.140)
W (0.423, 0.792, 0.640)
W (0.577, 0.208, 0.360)
W (0.577, 0.292, 0.860)
W (0.628, 0.711, 0.179)
W (0.628, 0.789, 0.679)
W (0.872, 0.211, 0.179)
W (0.872, 0.289, 0.679)
W (0.923, 0.708, 0.360)
W (0.923, 0.792, 0.860)
C (0.052, 0.741, 0.917)
C (0.052, 0.759, 0.417)
C (0.448, 0.241, 0.917)
C (0.448, 0.259, 0.417)
C (0.552, 0.741, 0.583)
C (0.552, 0.759, 0.083)
C (0.948, 0.241, 0.583)
C (0.948, 0.259, 0.083)
Cl (0.016, 0.559, 0.303)
Cl (0.016, 0.941, 0.803)
Cl (0.018, 0.237, 0.772)
Cl (0.018, 0.263, 0.272)
Cl (0.081, 0.685, 0.001)
Cl (0.081, 0.815, 0.501)
Cl (0.127, 0.114, 0.034)
Cl (0.127, 0.386, 0.534)
Cl (0.163, 0.145, 0.617)
Cl (0.163, 0.355, 0.117)
Cl (0.209, 0.637, 0.806)
Cl (0.209, 0.863, 0.306)
Cl (0.238, 0.647, 0.200)
Cl (0.238, 0.853, 0.700)
Cl (0.250, 0.127, 0.397)
Cl (0.250, 0.373, 0.897)
Cl (0.250, 0.627, 0.397)
Cl (0.250, 0.873, 0.897)
Cl (0.262, 0.147, 0.200)
Cl (0.262, 0.353, 0.700)
Cl (0.291, 0.137, 0.806)
Cl (0.291, 0.363, 0.306)
Cl (0.337, 0.645, 0.617)
Cl (0.337, 0.855, 0.117)
Cl (0.373, 0.614, 0.034)
Cl (0.373, 0.886, 0.534)
Cl (0.419, 0.185, 0.001)
Cl (0.419, 0.315, 0.501)
Cl (0.482, 0.737, 0.772)
Cl (0.482, 0.763, 0.272)
Cl (0.484, 0.059, 0.303)
Cl (0.484, 0.441, 0.803)
Cl (0.516, 0.559, 0.197)
Cl (0.516, 0.941, 0.697)
Cl (0.518, 0.237, 0.728)
Cl (0.518, 0.263, 0.228)
Cl (0.581, 0.685, 0.499)
Cl (0.581, 0.815, 0.999)
Cl (0.627, 0.114, 0.466)
Cl (0.627, 0.386, 0.966)
Cl (0.663, 0.145, 0.883)
Cl (0.663, 0.355, 0.383)
Cl (0.709, 0.637, 0.694)
Cl (0.709, 0.863, 0.194)
Cl (0.738, 0.647, 0.300)
Cl (0.738, 0.853, 0.800)
Cl (0.750, 0.127, 0.103)
Cl (0.750, 0.373, 0.603)
Cl (0.750, 0.627, 0.103)
Cl (0.750, 0.873, 0.603)
Cl (0.762, 0.147, 0.300)
Cl (0.762, 0.353, 0.800)
Cl (0.791, 0.137, 0.694)
Cl (0.791, 0.363, 0.194)
Cl (0.837, 0.645, 0.883)
Cl (0.837, 0.855, 0.383)
Cl (0.873, 0.614, 0.466)
Cl (0.873, 0.886, 0.966)
Cl (0.919, 0.185, 0.499)
Cl (0.919, 0.315, 0.999)
Cl (0.982, 0.737, 0.728)
Cl (0.982, 0.763, 0.228)
Cl (0.984, 0.059, 0.197)
Cl (0.984, 0.441, 0.697)

Calculated values
The value obtained for the spin magnetization is 0.001 Bohr magnetons per cell. The calculation puts the energy relative to the elements at -1.114 eV per atom.

=====

4.
A plane-wave DFT calculation with GGA-PBE was carried out for crystalline Hf2MoRh at its relaxed geometry.

Lattice parameters (Å, degrees): 4.636 4.636 4.636 60.00 60.00 60.00
Positions (direct):
Hf (0.250, 0.250, 0.250)
Hf (0.750, 0.750, 0.750)
Mo (0.000, 0.000, 0.000)
Rh (0.500, 0.500, 0.500)

Calculated values
The calculation puts the energy relative to the elements at -0.530 eV per atom.

=====

5.
A plane-wave DFT calculation with GGA-PBE was carried out for crystalline U at its relaxed geometry.

Lattice parameters (Å, degrees): 10.418 10.418 5.706 90.00 90.00 90.00
Positions (direct):
U (0.000, 0.000, 0.000)
U (0.050, 0.359, 0.459)
U (0.056, 0.271, 0.019)
U (0.110, 0.110, 0.536)
U (0.141, 0.550, 0.959)
U (0.177, 0.823, 0.268)
U (0.177, 0.823, 0.716)
U (0.229, 0.556, 0.519)
U (0.271, 0.056, 0.019)
U (0.323, 0.323, 0.216)
U (0.323, 0.323, 0.768)
U (0.359, 0.050, 0.459)
U (0.390, 0.610, 0.036)
U (0.444, 0.771, 0.519)
U (0.450, 0.859, 0.959)
U (0.500, 0.500, 0.500)
U (0.550, 0.141, 0.959)
U (0.556, 0.229, 0.519)
U (0.610, 0.390, 0.036)
U (0.641, 0.950, 0.459)
U (0.677, 0.677, 0.216)
U (0.677, 0.677, 0.768)
U (0.729, 0.944, 0.019)
U (0.771, 0.444, 0.519)
U (0.823, 0.177, 0.268)
U (0.823, 0.177, 0.716)
U (0.859, 0.450, 0.959)
U (0.890, 0.890, 0.536)
U (0.944, 0.729, 0.019)
U (0.950, 0.641, 0.459)

Calculated values
The value obtained for the spin magnetization is 0.000 Bohr magnetons per cell. The calculation puts the energy relative to the elements at 0.090 eV per atom.

=====

6.
A plane-wave DFT calculation with GGA-PBE was carried out for crystalline LaMg6Fe at its relaxed geometry.

Lattice parameters (Å, degrees): 4.824 6.346 11.767 90.00 90.00 90.00
Positions (direct):
Mg (0.000, 0.744, 0.567)
Mg (0.000, 0.244, 0.067)
Fe (0.000, 0.000, 0.823)
Mg (0.000, 0.500, 0.821)
Mg (0.500, 0.500, 0.659)
Mg (0.000, 0.756, 0.067)
Mg (0.500, 0.249, 0.930)
Mg (0.000, 0.256, 0.567)
Mg (0.500, 0.251, 0.430)
Mg (0.000, 0.000, 0.321)
La (0.500, 0.000, 0.705)
La (0.500, 0.500, 0.205)
Fe (0.000, 0.500, 0.323)
Mg (0.500, 0.749, 0.430)
Mg (0.500, 0.000, 0.159)
Mg (0.500, 0.751, 0.930)

Calculated values
The value obtained for the spin magnetization is 4.536 Bohr magnetons per cell. The calculation puts the energy relative to the elements at 0.192 eV per atom.

=====

7.
A plane-wave DFT calculation with GGA-PBE was carried out for crystalline Co4Ge at its relaxed geometry.

Lattice parameters (Å, degrees): 2.429 2.429 11.797 90.00 90.00 90.00
Positions (direct):
Co (0.000, 0.000, 0.098)
Co (0.000, 0.000, 0.291)
Co (0.000, 0.000, 0.709)
Co (0.000, 0.000, 0.902)
Ge (0.000, 0.000, 0.500)

Calculated values
The value obtained for the spin magnetization is 7.189 Bohr magnetons per cell. The calculation puts the energy relative to the elements at 0.747 eV per atom.

=====

8.
A plane-wave DFT calculation with GGA-PBE was carried out for crystalline NaCeMg6O8 at its relaxed geometry.

Lattice parameters (Å, degrees): 4.500 4.500 9.054 90.00 90.00 90.00
Positions (direct):
Na (0.000, 0.000, 0.000)
Ce (0.000, 0.000, 0.500)
Mg (0.000, 0.500, 0.223)
Mg (0.000, 0.500, 0.777)
Mg (0.500, 0.000, 0.223)
Mg (0.500, 0.000, 0.777)
Mg (0.500, 0.500, 0.000)
Mg (0.500, 0.500, 0.500)
O (0.000, 0.000, 0.249)
O (0.000, 0.000, 0.751)
O (0.000, 0.500, 0.000)
O (0.000, 0.500, 0.500)
O (0.500, 0.000, 0.000)
O (0.500, 0.000, 0.500)
O (0.500, 0.500, 0.251)
O (0.500, 0.500, 0.749)

Calculated values
The value obtained for the spin magnetization is 0.793 Bohr magnetons per cell. The calculation puts the energy relative to the elements at -2.812 eV per atom.

=====

9.
A plane-wave DFT calculation with GGA-PBE was carried out for crystalline Ce3GaBr3 at its relaxed geometry.

Lattice parameters (Å, degrees): 6.032 6.032 6.032 90.00 90.00 90.00
Positions (direct):
Ce (0.000, 0.000, 0.500)
Ce (0.000, 0.500, 0.000)
Ce (0.500, 0.000, 0.000)
Ga (0.000, 0.000, 0.000)
Br (0.000, 0.500, 0.500)
Br (0.500, 0.000, 0.500)
Br (0.500, 0.500, 0.000)

Calculated values
The calculation puts the energy relative to the elements at -1.436 eV per atom.

=====

10.
A plane-wave DFT calculation with GGA-PBE was carried out for crystalline Sr2CaI6 at its relaxed geometry.

Lattice parameters (Å, degrees): 10.425 9.521 17.729 90.00 123.32 90.00
Positions (direct):
Sr (0.138, 0.094, 0.287)
Sr (0.138, 0.406, 0.787)
Sr (0.204, 0.701, 0.094)
Sr (0.204, 0.799, 0.594)
Sr (0.796, 0.201, 0.406)
Sr (0.796, 0.299, 0.906)
Sr (0.862, 0.594, 0.213)
Sr (0.862, 0.906, 0.713)
Ca (0.427, 0.146, 0.070)
Ca (0.427, 0.354, 0.570)
Ca (0.573, 0.646, 0.430)
Ca (0.573, 0.854, 0.930)
I (0.072, 0.113, 0.635)
I (0.072, 0.387, 0.135)
I (0.082, 0.062, 0.923)
I (0.082, 0.438, 0.423)
I (0.224, 0.735, 0.295)
I (0.224, 0.765, 0.795)
I (0.327, 0.051, 0.514)
I (0.327, 0.449, 0.014)
I (0.392, 0.052, 0.224)
I (0.392, 0.448, 0.724)
I (0.477, 0.169, 0.911)
I (0.477, 0.331, 0.411)
I (0.523, 0.669, 0.589)
I (0.523, 0.831, 0.089)
I (0.608, 0.552, 0.276)
I (0.608, 0.948, 0.776)
I (0.673, 0.551, 0.986)
I (0.673, 0.949, 0.486)
I (0.776, 0.235, 0.205)
I (0.776, 0.265, 0.705)
I (0.918, 0.562, 0.577)
I (0.918, 0.938, 0.077)
I (0.928, 0.613, 0.865)
I (0.928, 0.887, 0.365)

Calculated values
The value obtained for the spin magnetization is 0.001 Bohr magnetons per cell. The calculation puts the energy relative to the elements at -1.846 eV per atom.

=====

11.
A plane-wave DFT calculation with GGA-PBE was carried out for crystalline NbN3F12 at its relaxed geometry.

Lattice parameters (Å, degrees): 7.672 7.672 6.272 93.82 93.82 125.60
Positions (direct):
Nb (0.000, 0.000, 0.000)
N (0.000, 0.000, 0.500)
N (0.000, 0.500, 0.000)
N (0.500, 0.000, 0.000)
F (0.062, 0.891, 0.705)
F (0.109, 0.938, 0.295)
F (0.113, 0.585, 0.792)
F (0.133, 0.314, 0.014)
F (0.314, 0.133, 0.014)
F (0.415, 0.887, 0.208)
F (0.585, 0.113, 0.792)
F (0.686, 0.867, 0.986)
F (0.867, 0.686, 0.986)
F (0.887, 0.415, 0.208)
F (0.891, 0.062, 0.705)
F (0.938, 0.109, 0.295)

Calculated values
The value obtained for the spin magnetization is 2.000 Bohr magnetons per cell. The calculation puts the energy relative to the elements at -0.845 eV per atom.

=====

12.
A plane-wave DFT calculation with GGA-PBE was carried out for crystalline Sr2SmBiO6 at its relaxed geometry.

Lattice parameters (Å, degrees): 5.980 6.169 10.446 90.00 124.90 90.00
Positions (direct):
Sr (0.240, 0.048, 0.253)
Sr (0.240, 0.452, 0.753)
Sr (0.760, 0.548, 0.247)
Sr (0.760, 0.952, 0.747)
Sm (0.500, 0.000, 0.000)
Sm (0.500, 0.500, 0.500)
Bi (0.000, 0.000, 0.500)
Bi (0.000, 0.500, 0.000)
O (0.135, 0.215, 0.943)
O (0.135, 0.285, 0.443)
O (0.241, 0.694, 0.952)
O (0.241, 0.806, 0.452)
O (0.339, 0.042, 0.739)
O (0.339, 0.458, 0.239)
O (0.661, 0.542, 0.761)
O (0.661, 0.958, 0.261)
O (0.759, 0.194, 0.548)
O (0.759, 0.306, 0.048)
O (0.865, 0.715, 0.557)
O (0.865, 0.785, 0.057)

Calculated values
The value obtained for the spin magnetization is 0.001 Bohr magnetons per cell. The calculation puts the energy relative to the elements at -2.812 eV per atom.